No. 1
First-principles (PBE with a Hubbard U) data for a relaxed structure of FeOF, as listed in the Materials Project.

Energy relative to the elements (eV/atom): -2.02
Calculated total energy (eV for the cell shown): -323.9

Unit cell a=3.091 b=14.216 c=14.260 alpha=89.86 beta=90.00 gamma=90.00
Sites, in units of the cell vectors:
Fe: 0.000 0.983 0.006
Fe: 0.000 0.989 0.671
Fe: 0.000 0.004 0.330
Fe: 0.500 0.847 0.836
Fe: 0.500 0.841 0.509
Fe: 0.500 0.843 0.181
Fe: 0.000 0.659 0.008
Fe: 0.000 0.656 0.665
Fe: 0.000 0.664 0.324
Fe: 0.500 0.516 0.497
Fe: 0.500 0.482 0.832
Fe: 0.500 0.511 0.169
Fe: 0.000 0.330 0.994
Fe: 0.000 0.331 0.676
Fe: 0.000 0.319 0.337
Fe: 0.500 0.180 0.835
Fe: 0.500 0.162 0.486
Fe: 0.500 0.186 0.162
O: 0.500 0.934 0.729
O: 0.500 0.931 0.069
O: 0.000 0.896 0.898
O: 0.000 0.902 0.563
O: 0.000 0.906 0.240
O: 0.500 0.734 0.268
O: 0.500 0.607 0.396
O: 0.500 0.601 0.061
O: 0.000 0.563 0.566
O: 0.000 0.562 0.230
O: 0.000 0.438 0.763
O: 0.500 0.401 0.938
O: 0.500 0.264 0.726
O: 0.500 0.268 0.402
O: 0.500 0.271 0.061
O: 0.000 0.229 0.897
O: 0.000 0.230 0.232
O: 0.000 0.096 0.431
F: 0.500 0.935 0.398
F: 0.000 0.765 0.766
F: 0.000 0.774 0.440
F: 0.000 0.769 0.100
F: 0.500 0.731 0.933
F: 0.500 0.735 0.603
F: 0.500 0.603 0.744
F: 0.000 0.570 0.895
F: 0.000 0.435 0.432
F: 0.000 0.434 0.105
F: 0.500 0.394 0.594
F: 0.500 0.396 0.270
F: 0.000 0.228 0.562
F: 0.000 0.099 0.766
F: 0.000 0.101 0.101
F: 0.500 0.062 0.935
F: 0.500 0.068 0.602
F: 0.500 0.067 0.265



No. 2
First-principles (PBE with a Hubbard U) data for a relaxed structure of Fe2Te4BrClO10, as listed in the Materials Project.

Energy relative to the elements (eV/atom): -1.41
ΔE to the lowest computed polymorph (kJ/mol of atoms): 0.6
Calculated total energy (eV for the cell shown): -385.9

Unit cell a=6.684 b=13.495 c=14.492 alpha=107.93 beta=90.00 gamma=90.00
Sites, in units of the cell vectors:
Fe: 0.502 0.882 0.523
Fe: 0.002 0.118 0.977
Fe: 0.498 0.118 0.477
Fe: 0.998 0.882 0.023
Fe: 0.793 0.063 0.643
Fe: 0.293 0.937 0.857
Fe: 0.207 0.937 0.357
Fe: 0.707 0.063 0.143
Te: 0.308 0.109 0.714
Te: 0.808 0.891 0.786
Te: 0.692 0.891 0.286
Te: 0.192 0.109 0.214
Te: 0.796 0.283 0.858
Te: 0.296 0.717 0.642
Te: 0.204 0.717 0.142
Te: 0.704 0.283 0.358
Te: 0.985 0.800 0.481
Te: 0.485 0.200 0.019
Te: 0.015 0.200 0.519
Te: 0.515 0.800 0.981
Te: 0.966 0.365 0.140
Te: 0.466 0.635 0.360
Te: 0.034 0.635 0.860
Te: 0.534 0.365 0.640
Br: 0.220 0.437 0.045
Br: 0.720 0.563 0.455
Br: 0.780 0.563 0.955
Br: 0.280 0.437 0.545
Cl: 0.142 0.382 0.779
Cl: 0.642 0.618 0.721
Cl: 0.858 0.618 0.221
Cl: 0.358 0.382 0.279
O: 0.053 0.785 0.608
O: 0.553 0.215 0.892
O: 0.947 0.215 0.392
O: 0.447 0.785 0.108
O: 0.216 0.887 0.481
O: 0.716 0.113 0.019
O: 0.784 0.113 0.519
O: 0.284 0.887 0.981
O: 0.487 0.037 0.603
O: 0.987 0.963 0.897
O: 0.513 0.963 0.397
O: 0.013 0.037 0.103
O: 0.987 0.187 0.878
O: 0.487 0.813 0.622
O: 0.013 0.813 0.122
O: 0.513 0.187 0.378
O: 0.800 0.910 0.552
O: 0.300 0.090 0.948
O: 0.200 0.090 0.448
O: 0.700 0.910 0.052
O: 0.730 0.213 0.725
O: 0.230 0.787 0.775
O: 0.270 0.787 0.275
O: 0.770 0.213 0.225
O: 0.092 0.230 0.092
O: 0.592 0.770 0.408
O: 0.908 0.770 0.908
O: 0.408 0.230 0.592
O: 0.254 0.987 0.746
O: 0.754 0.013 0.754
O: 0.746 0.013 0.254
O: 0.246 0.987 0.246
O: 0.761 0.337 0.048
O: 0.261 0.663 0.452
O: 0.239 0.663 0.952
O: 0.739 0.337 0.548
O: 0.076 0.099 0.637
O: 0.576 0.901 0.863
O: 0.924 0.901 0.363
O: 0.424 0.099 0.137